CsBaPS4 | PBE | optimized geometry

Structure (CIF):
```
data_CsBaPS4
_chemical_formula_sum 'Cs4 Ba4 P4 S16'
_symmetry_space_group_name_H-M 'P n m a'
_symmetry_Int_Tables_number 62
_cell_length_a 11.9854
_cell_length_b 6.9467
_cell_length_c 10.2438
_cell_angle_alpha 90.00
_cell_angle_beta 90.00
_cell_angle_gamma 90.00
loop_
_symmetry_equiv_pos_as_xyz
'x,y,z'
'-x,-y,-z'
'-x+1/2,-y,z+1/2'
'x+1/2,y,-z+1/2'
'x+1/2,-y+1/2,-z+1/2'
'-x+1/2,y+1/2,z+1/2'
'-x,y+1/2,-z'
'x,-y+1/2,z'
loop_
_atom_site_label
_atom_site_fract_x
_atom_site_fract_y
_atom_site_fract_z
Cs1 0.0717 0.2500 0.1406
Ba1 0.1488 0.2500 0.5998
P1 0.1758 0.7500 0.3837
S1 0.0709 0.7500 0.2249
S2 0.0875 0.7500 0.5563
S3 0.2252 0.0092 0.8729
```

Output
Crystal system: orthorhombic
E_tot (eV/cell): -132.850


BaCu13 | PBE | optimized geometry

Structure (CIF):
```
data_BaCu13
_chemical_formula_sum 'Ba8 Cu104'
_symmetry_space_group_name_H-M 'F m -3 c'
_symmetry_Int_Tables_number 226
_symmetry_space_group_name_Hall '-F 4a 2 3'
_cell_length_a 11.7135
_cell_length_b 11.7135
_cell_length_c 11.7135
_cell_angle_alpha 90.00
_cell_angle_beta 90.00
_cell_angle_gamma 90.00
loop_
_atom_site_label
_atom_site_fract_x
_atom_site_fract_y
_atom_site_fract_z
Ba1 0.2500 0.2500 0.2500
Cu1 0.0000 0.0000 0.0000
Cu2 0.0000 0.1148 0.1794
```

Output
Crystal system: cubic
E_tot (eV/cell): -442.512


Ba2NdDyTi2Cu2O11 | PBE | optimized geometry

Structure (CIF):
```
data_Ba2NdDyTi2Cu2O11
_chemical_formula_sum 'Ba2 Nd1 Dy1 Ti2 Cu2 O11'
_symmetry_space_group_name_H-M 'P 4/m m m'
_symmetry_Int_Tables_number 123
_symmetry_space_group_name_Hall '-P 4 2'
_cell_length_a 3.9128
_cell_length_b 3.9128
_cell_length_c 16.0211
_cell_angle_alpha 90.00
_cell_angle_beta 90.00
_cell_angle_gamma 90.00
loop_
_atom_site_label
_atom_site_fract_x
_atom_site_fract_y
_atom_site_fract_z
Ba1 0.0000 0.0000 0.2317
Nd1 0.0000 0.0000 0.5000
Dy1 0.0000 0.0000 0.0000
Ti1 0.5000 0.5000 0.3743
Cu1 0.5000 0.5000 0.1020
O1 0.0000 0.5000 0.0901
O2 0.0000 0.5000 0.3875
O3 0.5000 0.5000 0.2574
O4 0.5000 0.5000 0.5000
```

Output
Crystal system: tetragonal
E_tot (eV/cell): -141.889


Ba2DyCu3O7 | PBE | optimized geometry

Structure (CIF):
```
data_Ba2DyCu3O7
_chemical_formula_sum 'Ba2 Dy1 Cu3 O7'
_symmetry_space_group_name_H-M 'P m m m'
_symmetry_Int_Tables_number 47
_cell_length_a 3.8381
_cell_length_b 3.9461
_cell_length_c 11.7857
_cell_angle_alpha 90.00
_cell_angle_beta 90.00
_cell_angle_gamma 90.00
loop_
_symmetry_equiv_pos_as_xyz
'x,y,z'
'-x,-y,-z'
'-x,-y,z'
'x,y,-z'
'x,-y,-z'
'-x,y,z'
'-x,y,-z'
'x,-y,z'
loop_
_atom_site_label
_atom_site_fract_x
_atom_site_fract_y
_atom_site_fract_z
Ba1 0.0000 0.0000 0.1816
Dy1 0.0000 0.0000 0.5000
Cu1 0.5000 0.5000 0.0000
Cu2 0.5000 0.5000 0.3539
O1 0.0000 0.5000 0.3800
O2 0.5000 0.0000 0.0000
O3 0.5000 0.0000 0.3788
O4 0.5000 0.5000 0.1607
```

Output
Crystal system: orthorhombic
E_tot (eV/cell): -79.028


Ba2ErCu3O7 | PBE | optimized geometry

Structure (CIF):
```
data_Ba2ErCu3O7
_chemical_formula_sum 'Ba2 Er1 Cu3 O7'
_symmetry_space_group_name_H-M 'P m m m'
_symmetry_Int_Tables_number 47
_cell_length_a 3.8348
_cell_length_b 3.9331
_cell_length_c 11.7888
_cell_angle_alpha 90.00
_cell_angle_beta 90.00
_cell_angle_gamma 90.00
loop_
_symmetry_equiv_pos_as_xyz
'x,y,z'
'-x,-y,-z'
'-x,-y,z'
'x,y,-z'
'x,-y,-z'
'-x,y,z'
'-x,y,-z'
'x,-y,z'
loop_
_atom_site_label
_atom_site_fract_x
_atom_site_fract_y
_atom_site_fract_z
Ba1 0.0000 0.0000 0.1818
Er1 0.0000 0.0000 0.5000
Cu1 0.5000 0.5000 0.0000
Cu2 0.5000 0.5000 0.3556
O1 0.0000 0.5000 0.3820
O2 0.5000 0.0000 0.0000
O3 0.5000 0.0000 0.3799
O4 0.5000 0.5000 0.1603
```

Output
Crystal system: orthorhombic
E_tot (eV/cell): -79.042


BaEr2CuO5 | PBE | optimized geometry

Structure (CIF):
```
data_BaEr2CuO5
_chemical_formula_sum 'Ba4 Er8 Cu4 O20'
_symmetry_space_group_name_H-M 'P n m a'
_symmetry_Int_Tables_number 62
_cell_length_a 12.1834
_cell_length_b 5.6719
_cell_length_c 7.1835
_cell_angle_alpha 90.00
_cell_angle_beta 90.00
_cell_angle_gamma 90.00
loop_
_symmetry_equiv_pos_as_xyz
'x,y,z'
'-x,-y,-z'
'-x+1/2,-y,z+1/2'
'x+1/2,y,-z+1/2'
'x+1/2,-y+1/2,-z+1/2'
'-x+1/2,y+1/2,z+1/2'
'-x,y+1/2,-z'
'x,-y+1/2,z'
loop_
_atom_site_label
_atom_site_fract_x
_atom_site_fract_y
_atom_site_fract_z
Ba1 0.0965 0.2500 0.0669
Er1 0.0737 0.7500 0.3959
Er2 0.2133 0.2500 0.6113
Cu1 0.1609 0.7500 0.7800
O1 0.0685 0.5041 0.6590
O2 0.1002 0.7500 0.0848
O3 0.2278 0.0029 0.3547
```

Output
Crystal system: orthorhombic
E_tot (eV/cell): -257.739


Ba2ErCu4O8 | PBE | optimized geometry

Structure (CIF):
```
data_Ba2ErCu4O8
_chemical_formula_sum 'Ba4 Er2 Cu8 O16'
_symmetry_space_group_name_H-M 'C m m m'
_symmetry_Int_Tables_number 65
_symmetry_space_group_name_Hall '-C 2 2'
_cell_length_a 3.8912
_cell_length_b 27.4640
_cell_length_c 3.8735
_cell_angle_alpha 90.00
_cell_angle_beta 90.00
_cell_angle_gamma 90.00
loop_
_atom_site_label
_atom_site_fract_x
_atom_site_fract_y
_atom_site_fract_z
Ba1 0.0000 0.1354 0.0000
Er1 0.0000 0.0000 0.0000
Cu1 0.0000 0.2874 0.5000
Cu2 0.0000 0.4394 0.5000
O1 0.0000 0.0511 0.5000
O2 0.0000 0.2185 0.5000
O3 0.0000 0.3548 0.5000
O4 0.0000 0.4488 0.0000
```

Output
Crystal system: orthorhombic
E_tot (eV/cell): -179.691


Ba4PrErCu6O14 | PBE | optimized geometry

Structure (CIF):
```
data_Ba4PrErCu6O14
_chemical_formula_sum 'Ba4 Pr1 Er1 Cu6 O14'
_symmetry_space_group_name_H-M 'P m m m'
_symmetry_Int_Tables_number 47
_cell_length_a 3.8750
_cell_length_b 3.9489
_cell_length_c 23.9155
_cell_angle_alpha 90.00
_cell_angle_beta 90.00
_cell_angle_gamma 90.00
loop_
_symmetry_equiv_pos_as_xyz
'x,y,z'
'-x,-y,-z'
'-x,-y,z'
'x,y,-z'
'x,-y,-z'
'-x,y,z'
'-x,y,-z'
'x,-y,z'
loop_
_atom_site_label
_atom_site_fract_x
_atom_site_fract_y
_atom_site_fract_z
Ba1 0.0000 0.0000 0.1595
Ba2 0.0000 0.0000 0.3398
Pr1 0.0000 0.0000 0.5000
Er1 0.0000 0.0000 0.0000
Cu1 0.5000 0.5000 0.0730
Cu2 0.5000 0.5000 0.2499
Cu3 0.5000 0.5000 0.4234
O1 0.0000 0.5000 0.0592
O2 0.0000 0.5000 0.4356
O3 0.5000 0.0000 0.0599
O4 0.5000 0.0000 0.2495
O5 0.5000 0.0000 0.4346
O6 0.5000 0.5000 0.1702
O7 0.5000 0.5000 0.3289
```

Output
Crystal system: orthorhombic
E_tot (eV/cell): -157.604


Ba3Er2Cu2PtO10 | PBE | optimized geometry

Structure (CIF):
```
data_Ba3Er2Cu2PtO10
_chemical_formula_sum 'Ba6 Er4 Cu4 Pt2 O20'
_symmetry_space_group_name_H-M 'C 1 2/m 1'
_symmetry_Int_Tables_number 12
_cell_length_a 12.5392
_cell_length_b 5.8580
_cell_length_c 7.4991
_cell_angle_alpha 90.00
_cell_angle_beta 105.76
_cell_angle_gamma 90.00
loop_
_symmetry_equiv_pos_as_xyz
'x,y,z'
'-x,-y,-z'
'-x,y,-z'
'x,-y,z'
'x+1/2,y+1/2,z'
'-x+1/2,-y+1/2,-z'
'-x+1/2,y+1/2,-z'
'x+1/2,-y+1/2,z'
loop_
_atom_site_label
_atom_site_fract_x
_atom_site_fract_y
_atom_site_fract_z
Ba1 0.0000 0.0000 0.0000
Ba2 0.1540 0.0000 0.5451
Er1 0.1892 0.5000 0.8744
Cu1 0.0889 0.5000 0.1973
Pt1 0.0000 0.5000 0.5000
O1 0.0180 0.2804 0.7196
O2 0.1684 0.5000 0.5555
O3 0.1840 0.2717 0.1229
```

Output
Crystal system: monoclinic
E_tot (eV/cell): -234.263


Ba2Er2CuPtO8 | PBE | optimized geometry

Structure (CIF):
```
data_Ba2Er2CuPtO8
_chemical_formula_sum 'Ba8 Er8 Cu4 Pt4 O32'
_symmetry_space_group_name_H-M 'P n m a'
_symmetry_Int_Tables_number 62
_cell_length_a 13.3257
_cell_length_b 5.7116
_cell_length_c 10.3950
_cell_angle_alpha 90.00
_cell_angle_beta 90.00
_cell_angle_gamma 90.00
loop_
_symmetry_equiv_pos_as_xyz
'x,y,z'
'-x,-y,-z'
'-x+1/2,-y,z+1/2'
'x+1/2,y,-z+1/2'
'x+1/2,-y+1/2,-z+1/2'
'-x+1/2,y+1/2,z+1/2'
'-x,y+1/2,-z'
'x,-y+1/2,z'
loop_
_atom_site_label
_atom_site_fract_x
_atom_site_fract_y
_atom_site_fract_z
Ba1 0.0773 0.2500 0.0926
Ba2 0.2074 0.7500 0.3150
Er1 0.0829 0.2500 0.4872
Er2 0.1413 0.7500 0.6880
Cu1 0.0388 0.2500 0.7667
Pt1 0.1943 0.7500 0.9681
O1 0.0083 0.0045 0.6348
O2 0.0887 0.7500 0.1099
O3 0.1139 0.5092 0.8603
O4 0.2037 0.2500 0.3145
O5 0.2150 0.0092 0.5569
```

Output
Crystal system: orthorhombic
E_tot (eV/cell): -379.707


Ba2EuCu2HgO7 | PBE | optimized geometry

Structure (CIF):
```
data_Ba2EuCu2HgO7
_chemical_formula_sum 'Ba2 Eu1 Cu2 Hg1 O7'
_symmetry_space_group_name_H-M 'P 4/m m m'
_symmetry_Int_Tables_number 123
_symmetry_space_group_name_Hall '-P 4 2'
_cell_length_a 3.8812
_cell_length_b 3.8812
_cell_length_c 12.9008
_cell_angle_alpha 90.00
_cell_angle_beta 90.00
_cell_angle_gamma 90.00
loop_
_atom_site_label
_atom_site_fract_x
_atom_site_fract_y
_atom_site_fract_z
Ba1 0.0000 0.0000 0.2006
Eu1 0.0000 0.0000 0.5000
Cu1 0.5000 0.5000 0.3644
Hg1 0.5000 0.5000 0.0000
O1 0.0000 0.0000 0.0000
O2 0.0000 0.5000 0.3825
O3 0.5000 0.5000 0.1639
```

Output
Crystal system: tetragonal
E_tot (eV/cell): -77.768


Ba2LiEuCu4O8 | PBE | optimized geometry

Structure (CIF):
```
data_Ba2LiEuCu4O8
_chemical_formula_sum 'Ba2 Li1 Eu1 Cu4 O8'
_symmetry_space_group_name_H-M 'P 1 m 1'
_symmetry_Int_Tables_number 6
_cell_length_a 3.9250
_cell_length_b 3.8729
_cell_length_c 15.7595
_cell_angle_alpha 90.00
_cell_angle_beta 97.14
_cell_angle_gamma 90.00
loop_
_symmetry_equiv_pos_as_xyz
'x,y,z'
'x,-y,z'
loop_
_atom_site_label
_atom_site_fract_x
_atom_site_fract_y
_atom_site_fract_z
Ba1 0.0000 0.0000 0.0000
Ba2 0.3086 0.0000 0.6148
Li1 0.1096 0.0000 0.2118
Eu1 0.1897 0.0000 0.3772
Cu1 0.4413 0.5000 0.8811
Cu2 0.6269 0.5000 0.2481
Cu3 0.7411 0.5000 0.4800
Cu4 0.8773 0.5000 0.7520
O1 0.1297 0.5000 0.2537
O2 0.2349 0.5000 0.4677
O3 0.3814 0.5000 0.7603
O4 0.5011 0.5000 0.0019
O5 0.6297 0.0000 0.2536
O6 0.7346 0.0000 0.4672
O7 0.8183 0.5000 0.6340
O8 0.9379 0.5000 0.8742
```

Output
Crystal system: monoclinic
Energy above the most stable polymorph in this dataset (meV/atom): 90